(i)
A geometry-optimized RbMgMn4O8 structure. Source: the Materials Project, functional GGA+U.

Computed properties:
ρ ... 4.16 g/cm3
Magnetic moment ... 15.00 μB per formula unit

Cell and atoms, written as POSCAR:
```
RbMgMn4O8
1.0
-0.432 -8.154 2.488
-1.890 0.897 7.388
-2.178 7.400 -3.655
Rb Mg Mn O
1 1 4 8
Direct
0.423 0.958 0.535 Rb
0.212 0.254 0.042 Mg
0.837 0.175 0.338 Mn
0.411 0.603 0.192 Mn
0.606 0.423 0.817 Mn
0.163 0.800 0.636 Mn
0.823 0.399 0.576 O
0.765 0.897 0.133 O
0.566 0.712 0.146 O
0.112 0.292 0.180 O
0.931 0.744 0.813 O
0.437 0.264 0.828 O
0.224 0.069 0.844 O
0.149 0.587 0.438 O
```

(ii)
A geometry-optimized RbMgMn4O8 structure. Source: the Materials Project, functional GGA+U.

Computed properties:
ρ ... 4.40 g/cm3
Magnetic moment ... 15.00 μB per formula unit

Cell and atoms, written as POSCAR:
```
RbMgMn4O8
1.0
-5.276 1.561 5.154
5.258 -1.561 5.344
5.276 1.561 -5.154
Rb Mg Mn O
1 1 4 8
Direct
0.500 0.000 0.500 Rb
0.000 0.500 0.500 Mg
0.814 0.161 0.347 Mn
0.337 0.505 0.167 Mn
0.663 0.495 0.833 Mn
0.186 0.839 0.653 Mn
0.815 0.351 0.536 O
0.807 0.970 0.164 O
0.526 0.659 0.134 O
0.157 0.369 0.212 O
0.843 0.631 0.788 O
0.474 0.341 0.866 O
0.193 0.030 0.836 O
0.185 0.649 0.464 O
```

What should be chosen as the most stable of them? Choose (ii).

(i)
A geometry-optimized RbMgMn4O8 structure. Source: the Materials Project, functional GGA+U.

Computed properties:
ρ ... 4.58 g/cm3
Magnetic moment ... 15.00 μB per formula unit

Cell and atoms, written as POSCAR:
```
RbMgMn4O8
1.0
3.137 6.336 2.752
-5.147 -1.463 5.308
-0.749 -7.490 -1.310
Rb Mg Mn O
1 1 4 8
Direct
0.550 0.082 0.612 Rb
0.502 0.834 0.285 Mg
0.828 0.185 0.356 Mn
0.289 0.476 0.088 Mn
0.699 0.513 0.867 Mn
0.180 0.807 0.630 Mn
0.747 0.332 0.477 O
0.798 0.975 0.166 O
0.549 0.677 0.136 O
0.193 0.384 0.259 O
0.903 0.659 0.809 O
0.484 0.318 0.870 O
0.096 0.006 0.782 O
0.209 0.654 0.449 O
```

(ii)
A geometry-optimized RbMgMn4O8 structure. Source: the Materials Project, functional GGA+U.

Computed properties:
ρ ... 4.37 g/cm3
Magnetic moment ... 15.00 μB per formula unit

Cell and atoms, written as POSCAR:
```
RbMgMn4O8
1.0
-5.459 1.225 5.094
5.170 -1.843 5.208
5.490 1.953 -5.286
Rb Mg Mn O
1 1 4 8
Direct
0.497 0.939 0.455 Rb
0.864 0.205 0.113 Mg
0.876 0.162 0.443 Mn
0.354 0.501 0.162 Mn
0.661 0.526 0.830 Mn
0.225 0.803 0.711 Mn
0.823 0.355 0.551 O
0.831 0.977 0.198 O
0.591 0.678 0.202 O
0.065 0.367 0.110 O
0.853 0.633 0.775 O
0.364 0.312 0.722 O
0.241 0.020 0.899 O
0.230 0.664 0.495 O
```

What should be chosen as the most stable of them? Choose (i).

(i)
A geometry-optimized Y2MgMn2S2O5 structure. Source: the Materials Project, functional GGA+U.

Computed properties:
ρ ... 4.43 g/cm3
Magnetic moment ... 8.01 μB per formula unit

Cell and atoms, written as POSCAR:
```
Y2MgMn2S2O5
1.0
3.548 7.500 -8.436
1.958 2.950 -11.036
-5.304 -4.237 9.548
Y Mg Mn S O
2 1 2 2 5
Direct
0.255 0.393 0.000 Y
0.620 0.688 0.000 Y
0.809 0.005 0.000 Mg
0.054 0.097 0.000 Mn
0.318 0.599 0.003 Mn
0.152 0.233 0.000 S
0.719 0.845 0.000 S
0.001 0.986 0.998 O
0.569 0.112 0.498 O
0.788 0.490 0.487 O
0.071 0.613 0.502 O
0.301 0.001 0.512 O
```

(ii)
A geometry-optimized Y2MgMn2S2O5 structure. Source: the Materials Project, functional GGA+U.

Computed properties:
ρ ... 3.67 g/cm3
Magnetic moment ... 8.00 μB per formula unit

Cell and atoms, written as POSCAR:
```
Y2MgMn2S2O5
1.0
-1.916 1.916 14.039
1.916 -1.916 14.039
1.916 1.916 -14.039
Y Mg Mn S O
2 1 2 2 5
Direct
0.367 0.367 0.000 Y
0.633 0.633 0.000 Y
0.750 0.250 0.500 Mg
0.065 0.065 0.000 Mn
0.935 0.935 0.000 Mn
0.193 0.193 0.000 S
0.807 0.807 0.000 S
0.593 0.093 0.500 O
0.907 0.407 0.500 O
0.091 0.591 0.500 O
0.409 0.909 0.500 O
0.000 0.000 0.000 O
```

(iii)
A geometry-optimized Y2MgMn2S2O5 structure. Source: the Materials Project, functional GGA+U.

Computed properties:
ρ ... 4.27 g/cm3
Magnetic moment ... 8.00 μB per formula unit

Cell and atoms, written as POSCAR:
```
Y2MgMn2S2O5
1.0
-1.982 1.986 11.258
1.982 -1.986 11.258
1.982 1.986 -11.258
Y Mg Mn S O
2 1 2 2 5
Direct
0.337 0.837 0.500 Y
0.663 0.163 0.500 Y
0.000 0.000 0.000 Mg
0.092 0.592 0.500 Mn
0.908 0.408 0.500 Mn
0.205 0.705 0.500 S
0.795 0.295 0.500 S
0.605 0.605 0.000 O
0.395 0.395 0.000 O
0.092 0.092 0.000 O
0.908 0.908 0.000 O
0.000 0.500 0.500 O
```

What should be chosen as the most stable of them? Choose (iii).

(i)
A geometry-optimized MgMn2Sb4O12 structure. Source: the Materials Project, functional GGA+U.

Computed properties:
ρ ... 5.47 g/cm3
Magnetic moment ... 10.00 μB per formula unit

Cell and atoms, written as POSCAR:
```
MgMn2Sb4O12
1.0
-3.112 -2.590 -2.770
3.227 -3.668 -0.556
-3.707 -4.537 8.405
Mg Mn Sb O
1 2 4 12
Direct
0.000 0.500 0.759 Mg
0.000 0.000 0.318 Mn
0.500 0.500 0.883 Mn
0.000 0.000 0.013 Sb
0.000 0.000 0.620 Sb
0.500 0.500 0.175 Sb
0.500 0.500 0.486 Sb
0.171 0.776 0.868 O
0.197 0.796 0.161 O
0.221 0.817 0.479 O
0.305 0.286 0.030 O
0.313 0.325 0.329 O
0.282 0.341 0.634 O
0.696 0.714 0.030 O
0.687 0.675 0.329 O
0.717 0.658 0.634 O
0.803 0.204 0.161 O
0.829 0.224 0.868 O
0.779 0.182 0.479 O
```

(ii)
A geometry-optimized MgMn2Sb4O12 structure. Source: the Materials Project, functional GGA+U.

Computed properties:
ρ ... 5.25 g/cm3
Magnetic moment ... 10.00 μB per formula unit

Cell and atoms, written as POSCAR:
```
MgMn2Sb4O12
1.0
6.558 -0.017 6.670
2.593 5.297 1.799
-1.496 -0.590 5.969
Mg Mn Sb O
1 2 4 12
Direct
0.022 0.494 0.980 Mg
0.168 0.581 0.416 Mn
0.494 0.564 0.454 Mn
0.005 0.998 0.004 Sb
0.346 0.993 0.996 Sb
0.654 0.003 0.032 Sb
0.836 0.417 0.586 Sb
0.879 0.646 0.771 O
0.201 0.114 0.804 O
0.144 0.882 0.204 O
0.187 0.667 0.748 O
0.463 0.328 0.284 O
0.475 0.856 0.205 O
0.542 0.100 0.814 O
0.821 0.351 0.231 O
0.537 0.660 0.732 O
0.820 0.865 0.198 O
0.849 0.126 0.825 O
0.139 0.354 0.216 O
```

What should be chosen as the most stable of them? Choose (ii).

(i)
A geometry-optimized Sr2MgMnSbO6 structure. Source: the Materials Project, functional GGA+U.

Computed properties:
ρ ... 4.67 g/cm3
Magnetic moment ... 4.43 μB per formula unit

Cell and atoms, written as POSCAR:
```
Sr2MgMnSbO6
1.0
-6.075 -1.076 0.167
1.062 6.752 0.014
-2.388 2.846 -4.127
Sr Mg Mn Sb O
2 1 1 1 6
Direct
0.319 0.738 0.440 Sr
0.681 0.262 0.560 Sr
0.000 0.000 0.500 Mg
0.500 0.500 0.000 Mn
0.000 0.000 0.000 Sb
0.816 0.676 0.512 O
0.184 0.324 0.488 O
0.671 0.852 0.929 O
0.329 0.148 0.071 O
0.168 0.858 0.787 O
0.832 0.142 0.213 O
```

(ii)
A geometry-optimized Sr2MgMnSbO6 structure. Source: the Materials Project, functional GGA+U.

Computed properties:
ρ ... 4.74 g/cm3
Magnetic moment ... 4.11 μB per formula unit

Cell and atoms, written as POSCAR:
```
Sr2MgMnSbO6
1.0
3.251 5.246 0.437
-0.550 -1.193 5.848
4.660 -1.193 3.118
Sr Mg Mn Sb O
2 1 1 1 6
Direct
0.451 0.798 0.396 Sr
0.723 0.236 0.584 Sr
0.888 0.619 0.828 Mg
0.324 0.476 0.114 Mn
0.044 0.024 0.003 Sb
0.859 0.710 0.457 O
0.156 0.345 0.544 O
0.651 0.745 0.996 O
0.350 0.191 0.007 O
0.197 0.766 0.850 O
0.821 0.222 0.117 O
```

What should be chosen as the most stable of them? Choose (ii).

(i)
A geometry-optimized MgMn4Si8O22 structure. Source: the Materials Project, functional GGA+U.

Computed properties:
ρ ... 3.00 g/cm3
Magnetic moment ... 18.00 μB per formula unit

Cell and atoms, written as POSCAR:
```
MgMn4Si8O22
1.0
8.908 0.018 -0.371
-1.212 7.807 -0.182
-1.645 -2.324 6.674
Mg Mn Si O
1 4 8 22
Direct
0.500 0.000 0.000 Mg
0.360 0.591 0.881 Mn
0.402 0.623 0.353 Mn
0.598 0.377 0.647 Mn
0.640 0.409 0.119 Mn
0.040 0.388 0.246 Si
0.215 0.230 0.964 Si
0.206 0.210 0.530 Si
0.638 0.974 0.746 Si
0.362 0.026 0.254 Si
0.794 0.790 0.470 Si
0.785 0.770 0.036 Si
0.960 0.612 0.754 Si
0.131 0.570 0.799 O
0.060 0.265 0.397 O
0.191 0.571 0.339 O
0.060 0.249 0.033 O
0.170 0.159 0.718 O
0.239 0.024 0.382 O
0.373 0.376 0.623 O
0.472 0.808 0.629 O
0.419 0.841 0.154 O
0.292 0.069 0.033 O
0.365 0.420 0.079 O
0.635 0.580 0.921 O
0.708 0.931 0.967 O
0.581 0.159 0.846 O
0.528 0.192 0.371 O
0.627 0.624 0.377 O
0.761 0.976 0.618 O
0.830 0.841 0.282 O
0.940 0.751 0.967 O
0.809 0.429 0.661 O
0.940 0.735 0.603 O
0.869 0.430 0.201 O
```

(ii)
A geometry-optimized MgMn4Si8O22 structure. Source: the Materials Project, functional GGA+U.

Computed properties:
ρ ... 2.96 g/cm3
Magnetic moment ... 18.00 μB per formula unit

Cell and atoms, written as POSCAR:
```
MgMn4Si8O22
1.0
8.761 -0.042 -0.211
-1.258 8.154 -0.252
-1.463 -2.469 6.566
Mg Mn Si O
1 4 8 22
Direct
0.500 0.000 0.500 Mg
0.385 0.650 0.879 Mn
0.390 0.582 0.381 Mn
0.610 0.418 0.619 Mn
0.615 0.350 0.121 Mn
0.025 0.388 0.227 Si
0.213 0.245 0.946 Si
0.219 0.241 0.509 Si
0.629 0.950 0.806 Si
0.371 0.050 0.194 Si
0.781 0.759 0.491 Si
0.787 0.755 0.054 Si
0.975 0.612 0.773 Si
0.148 0.573 0.795 O
0.060 0.261 0.363 O
0.173 0.571 0.332 O
0.047 0.268 0.999 O
0.191 0.196 0.702 O
0.279 0.065 0.380 O
0.376 0.414 0.577 O
0.458 0.791 0.664 O
0.425 0.866 0.173 O
0.267 0.074 0.993 O
0.370 0.419 0.092 O
0.630 0.581 0.908 O
0.733 0.926 0.007 O
0.575 0.134 0.827 O
0.542 0.209 0.336 O
0.624 0.586 0.423 O
0.721 0.935 0.620 O
0.809 0.804 0.298 O
0.953 0.732 0.001 O
0.827 0.429 0.668 O
0.940 0.739 0.637 O
0.852 0.427 0.205 O
```

(iii)
A geometry-optimized MgMn4Si8O22 structure. Source: the Materials Project, functional GGA+U.

Computed properties:
ρ ... 3.12 g/cm3
Magnetic moment ... 18.00 μB per formula unit

Cell and atoms, written as POSCAR:
```
MgMn4Si8O22
1.0
8.722 0.264 -0.167
-0.981 7.677 -0.203
-1.513 -2.337 6.598
Mg Mn Si O
1 4 8 22
Direct
0.062 0.012 0.117 Mg
0.373 0.660 0.847 Mn
0.388 0.657 0.353 Mn
0.606 0.376 0.645 Mn
0.617 0.379 0.128 Mn
0.027 0.395 0.235 Si
0.234 0.229 0.953 Si
0.224 0.229 0.532 Si
0.614 0.979 0.783 Si
0.403 0.032 0.236 Si
0.778 0.774 0.476 Si
0.769 0.767 0.045 Si
0.965 0.600 0.759 Si
0.142 0.558 0.800 O
0.060 0.249 0.372 O
0.158 0.579 0.325 O
0.065 0.242 0.023 O
0.180 0.159 0.705 O
0.265 0.041 0.367 O
0.377 0.397 0.609 O
0.456 0.816 0.682 O
0.436 0.824 0.171 O
0.279 0.046 0.021 O
0.383 0.401 0.073 O
0.630 0.583 0.917 O
0.727 0.953 0.993 O
0.580 0.192 0.849 O
0.550 0.208 0.350 O
0.629 0.594 0.379 O
0.720 0.953 0.617 O
0.825 0.831 0.293 O
0.943 0.750 0.986 O
0.825 0.418 0.680 O
0.935 0.732 0.618 O
0.842 0.409 0.188 O
```

(iv)
A geometry-optimized MgMn4Si8O22 structure. Source: the Materials Project, functional GGA+U.

Computed properties:
ρ ... 3.11 g/cm3
Magnetic moment ... 18.00 μB per formula unit

Cell and atoms, written as POSCAR:
```
MgMn4Si8O22
1.0
9.437 0.672 -0.271
-0.737 7.413 -0.709
-1.828 -2.787 6.534
Mg Mn Si O
1 4 8 22
Direct
0.497 0.495 0.995 Mg
0.278 0.687 0.731 Mn
0.387 0.639 0.350 Mn
0.608 0.351 0.641 Mn
0.717 0.304 0.260 Mn
0.060 0.368 0.242 Si
0.209 0.203 0.926 Si
0.248 0.174 0.512 Si
0.602 0.000 0.805 Si
0.392 0.990 0.185 Si
0.746 0.816 0.478 Si
0.785 0.787 0.064 Si
0.935 0.622 0.748 Si
0.096 0.569 0.745 O
0.111 0.212 0.347 O
0.201 0.569 0.388 O
0.059 0.248 0.990 O
0.189 0.116 0.671 O
0.315 0.981 0.358 O
0.392 0.367 0.654 O
0.459 0.810 0.664 O
0.426 0.768 0.056 O
0.274 0.025 0.989 O
0.332 0.412 0.068 O
0.663 0.578 0.922 O
0.721 0.965 0.002 O
0.569 0.222 0.934 O
0.536 0.180 0.326 O
0.603 0.623 0.337 O
0.680 0.009 0.632 O
0.806 0.874 0.320 O
0.936 0.742 0.001 O
0.793 0.421 0.603 O
0.883 0.778 0.644 O
0.899 0.421 0.245 O
```

What should be chosen as the most stable of them? Choose (iv).